Density functional theory data (meta-GGA r2SCAN) for a relaxed structure of TbMgHg2.

a b c (Å): 5.045 5.045 5.045
angles (deg): 60.00 60.00 60.00
Fractional coordinates of all 4 atoms:
Tb (0.750, 0.750, 0.750)
Mg (0.250, 0.250, 0.250)
Hg (0.000, 0.000, 0.000)
Hg (0.500, 0.500, 0.500)

SG: No. 225
Total magnetic moment (μB per atom): 0.000
Total DFT energy (no corrections) (eV/atom): -34.060
Calculated formation energy (meV/atom): -527